VASP calculation (meta-GGA r2SCAN) on H after structural relaxation.

Geometry as POSCAR:
```
H
1.0
2.650 0.000 0.000
0.000 2.650 0.000
0.000 0.000 0.980
H
1
direct
0.000 0.000 0.000 H
```

Calculated values
- Offset from the most stable computed form: 400 meV/atom
- ΔE_f: 0.40 eV/atom